Entry 1:
A plane-wave DFT calculation with meta-GGA r2SCAN was carried out for a relaxed UBiTe crystal.

As for the formation energy: -2.505 eV per formula unit.

The space group is P4/nmm (No. 129, origin choice 2) and the conventional cell measures 4.4502, 4.4502 and 9.4013 Å, with angles of 90.00, 90.00 and 90.00 degrees. The inequivalent atoms are U at (0.2500, 0.2500, 0.2201), Bi at (0.2500, 0.7500, 0.5000) and Te at (0.2500, 0.2500, 0.8720).

---

Entry 2:
A plane-wave DFT calculation with meta-GGA r2SCAN was carried out for a relaxed TiMo3 crystal.

As for the formation energy: -0.538 eV per formula unit.

The space group is Immm (No. 71) and the conventional cell measures 3.1652, 4.4210 and 8.9502 Å, with angles of 90.00, 90.00 and 90.00 degrees. The inequivalent atoms are Ti at (0.0000, 0.0000, 0.0000), Mo at (0.0000, 0.0000, 0.5000) and Mo at (0.0000, 0.5000, 0.2434).

---

Entry 3:
A plane-wave DFT calculation with meta-GGA r2SCAN was carried out for a relaxed Sr3Sn2As4 crystal.

As for the formation energy: -8.660 eV per formula unit.

The space group is P2_1/c (No. 14) and the conventional cell measures 7.7648, 19.3222 and 7.7635 Å, with angles of 90.00, 111.98 and 90.00 degrees. The inequivalent atoms are Sr at (0.2114, 0.1823, 0.0096), Sr at (0.2586, 0.0601, 0.5110), Sr at (0.2632, 0.5616, 0.5050), Sn at (0.2077, 0.6226, 0.0283), Sn at (0.3214, 0.7436, 0.9101), As at (0.0038, 0.0548, 0.7582), As at (0.0250, 0.6827, 0.2220), As at (0.4749, 0.1951, 0.7727) and As at (0.4919, 0.0635, 0.2476).

---

Entry 4:
A plane-wave DFT calculation with meta-GGA r2SCAN was carried out for a relaxed TaNi3 crystal.

As for the formation energy: -1.308 eV per formula unit.

The space group is P2_1/m (No. 11) and the conventional cell measures 4.5005, 5.0776 and 8.5642 Å, with angles of 90.00, 100.88 and 90.00 degrees. The inequivalent atoms are Ta at (0.1125, 0.2500, 0.3782), Ta at (0.2895, 0.2500, 0.8725), Ni at (0.1342, 0.7500, 0.3762), Ni at (0.2058, 0.0013, 0.1232), Ni at (0.2979, 0.7500, 0.8734) and Ni at (0.3859, 0.5026, 0.6267).

---

Entry 5:
A plane-wave DFT calculation with meta-GGA r2SCAN was carried out for a relaxed Dy2Ni17 crystal.

As for the formation energy: -3.515 eV per formula unit.

The space group is P6_3/mmc (No. 194) and the conventional cell measures 8.2045, 8.2045 and 7.9350 Å, with angles of 90.00, 90.00 and 120.00 degrees. The inequivalent atoms are Dy at (0.0000, 0.0000, 0.2500), Dy at (0.3333, 0.6667, 0.2500), Ni at (0.0000, 0.5000, 0.0000), Ni at (0.0445, 0.3724, 0.7500), Ni at (0.1655, 0.3311, 0.0206) and Ni at (0.3333, 0.6667, 0.6027).

---

Entry 6:
A plane-wave DFT calculation with meta-GGA r2SCAN was carried out for a relaxed MgZn2 crystal.

As for the formation energy: -0.087 eV per formula unit.

The space group is Cmcm (No. 63) and the conventional cell measures 3.0197, 14.3891 and 4.4794 Å, with angles of 90.00, 90.00 and 90.00 degrees. The inequivalent atoms are Mg at (0.0000, 0.0642, 0.2500), Zn at (0.0000, 0.2702, 0.7500) and Zn at (0.0000, 0.3817, 0.2500).

---

Entry 7:
A plane-wave DFT calculation with meta-GGA r2SCAN was carried out for a relaxed ScSnPt crystal.

As for the formation energy: -3.249 eV per formula unit.

The space group is P-62c (No. 190) and the conventional cell measures 7.3941, 7.3941 and 7.4365 Å, with angles of 90.00, 90.00 and 120.00 degrees. The inequivalent atoms are Sc at (0.0179, 0.4049, 0.2500), Sn at (0.0000, 0.7281, 0.0000), Pt at (0.0000, 0.0000, 0.2500) and Pt at (0.3333, 0.6667, 0.5360).

---

Entry 8:
A plane-wave DFT calculation with meta-GGA r2SCAN was carried out for a relaxed CrIr3 crystal.

As for the formation energy: -1.034 eV per formula unit.

The space group is Pm-3m (No. 221) and the conventional cell measures 3.8141, 3.8141 and 3.8141 Å, with angles of 90.00, 90.00 and 90.00 degrees. The inequivalent atoms are Cr at (0.0000, 0.0000, 0.0000) and Ir at (0.0000, 0.5000, 0.5000).